# Li2CoP2O7

A relaxed Li2CoP2O7 crystal (PBE with a Hubbard U, Materials Project).

Properties
Calculated volume (Å³ per cell): 533
Formation energy (eV per formula unit): -29.55
M_tot (Bohr magnetons per cell): 0.0

Lattice parameters (Å, degrees): 4.8788 12.1747 9.0530 97.82 89.97 89.64
Element x y z (fractional)
Li 0.7215 0.1163 0.6436
Li 0.2215 0.1164 0.1436
Li 0.2473 0.2979 0.8404
Li 0.7473 0.2979 0.3404
Li 0.7819 0.6166 0.1369
Li 0.2819 0.6166 0.6369
Li 0.2573 0.7963 0.3401
Li 0.7572 0.7963 0.8401
Co 0.2595 0.9977 0.7513
Co 0.7425 0.4983 0.7496
Co 0.7596 0.9977 0.2513
Co 0.2426 0.4983 0.2496
P 0.3010 0.8774 0.0525
P 0.8010 0.8773 0.5524
P 0.2738 0.6405 0.9496
P 0.7740 0.6404 0.4497
P 0.7039 0.3772 0.0511
P 0.2039 0.3772 0.5511
P 0.7248 0.1395 0.9517
P 0.2248 0.1395 0.4517
O 0.1241 0.7630 0.0015
O 0.6242 0.7630 0.5016
O 0.8782 0.2609 0.0017
O 0.3782 0.2609 0.5017
O 0.1082 0.1069 0.5962
O 0.6082 0.1069 0.0962
O 0.5644 0.4029 0.9079
O 0.0644 0.4029 0.4079
O 0.3934 0.6065 0.0929
O 0.8935 0.6064 0.5929
O 0.9403 0.9032 0.4094
O 0.4403 0.9032 0.9094
O 0.4950 0.6573 0.8327
O 0.9952 0.6572 0.3327
O 0.5043 0.8521 0.1735
O 0.0043 0.8521 0.6735
O 0.5007 0.1582 0.8369
O 0.0008 0.1582 0.3369
O 0.5015 0.3545 0.1737
O 0.0015 0.3545 0.6737
O 0.0347 0.5733 0.8836
O 0.5349 0.5733 0.3836
O 0.0844 0.9617 0.1146
O 0.5845 0.9617 0.6146
O 0.9584 0.0694 0.8825
O 0.4585 0.0694 0.3825
O 0.9218 0.4604 0.1111
O 0.4218 0.4604 0.6111